Record 1
{
  "formula": "Nb6OsAu",
  "functional": "PBE",
  "state": "relaxed",
  "spacegroup": "Pm-3 (200)",
  "ef_ev_per_atom": -0.167,
  "vol_a3_per_atom": 17.7,
  "density_g_cm3": 11.09,
  "total_energy_ev_per_atom": -9.555,
  "lattice_angstrom": [[5.210, 0.000, 0.000], [0.000, 5.210, 0.000], [0.000, 0.000, 5.210]],
  "species": ["Nb", "Nb", "Nb", "Nb", "Nb", "Nb", "Os", "Au"],
  "fractional_positions": [[0.000, 0.255, 0.500], [0.000, 0.745, 0.500], [0.255, 0.500, 0.000], [0.500, 0.000, 0.255], [0.500, 0.000, 0.745], [0.745, 0.500, 0.000], [0.500, 0.500, 0.500], [0.000, 0.000, 0.000]]
}

Record 2
{
  "formula": "Nb6PtAu",
  "functional": "PBE",
  "state": "relaxed",
  "spacegroup": "Pm-3 (200)",
  "ef_ev_per_atom": -0.224,
  "vol_a3_per_atom": 17.9,
  "density_g_cm3": 11.03,
  "total_energy_ev_per_atom": -8.968,
  "lattice_angstrom": [[5.229, 0.000, 0.000], [0.000, 5.229, 0.000], [0.000, 0.000, 5.229]],
  "species": ["Nb", "Nb", "Nb", "Nb", "Nb", "Nb", "Pt", "Au"],
  "fractional_positions": [[0.000, 0.254, 0.500], [0.000, 0.746, 0.500], [0.254, 0.500, 0.000], [0.500, 0.000, 0.254], [0.500, 0.000, 0.746], [0.746, 0.500, 0.000], [0.500, 0.500, 0.500], [0.000, 0.000, 0.000]]
}

Record 3
{
  "formula": "NdAu6",
  "functional": "PBE",
  "state": "relaxed",
  "spacegroup": "C2/c (15)",
  "ef_ev_per_atom": -0.415,
  "vol_a3_per_atom": 20.4,
  "density_g_cm3": 15.40,
  "total_energy_ev_per_atom": -3.903,
  "lattice_angstrom": [[3.961, -3.941, 0.000], [3.961, 3.941, 0.000], [-1.707, 0.000, 9.161]],
  "species": ["Nd", "Nd", "Au", "Au", "Au", "Au", "Au", "Au", "Au", "Au", "Au", "Au", "Au", "Au"],
  "fractional_positions": [[0.184, 0.816, 0.750], [0.816, 0.184, 0.250], [0.041, 0.664, 0.128], [0.116, 0.278, 0.581], [0.278, 0.116, 0.081], [0.336, 0.959, 0.372], [0.344, 0.458, 0.364], [0.458, 0.344, 0.864], [0.542, 0.656, 0.136], [0.656, 0.542, 0.636], [0.664, 0.041, 0.628], [0.722, 0.884, 0.919], [0.884, 0.722, 0.419], [0.959, 0.336, 0.872]]
}

> What is the formula in the first record?

Nb6OsAu